{"formula": "Rb2CrH2Cl5O", "functional": "PBE with a Hubbard U", "state": "optimized geometry", "cell": [[7.346, 0.000, 0.000], [0.000, 9.844, 0.000], [0.000, 0.000, 14.196]], "species": ["Rb", "Rb", "Rb", "Rb", "Rb", "Rb", "Rb", "Rb", "Cr", "Cr", "Cr", "Cr", "H", "H", "H", "H", "H", "H", "H", "H", "Cl", "Cl", "Cl", "Cl", "Cl", "Cl", "Cl", "Cl", "Cl", "Cl", "Cl", "Cl", "Cl", "Cl", "Cl", "Cl", "Cl", "Cl", "Cl", "Cl", "O", "O", "O", "O"], "frac_coords": [[0.347, 0.999, 0.645], [0.153, 0.501, 0.145], [0.653, 0.499, 0.355], [0.847, 0.001, 0.855], [0.653, 0.001, 0.355], [0.847, 0.499, 0.855], [0.347, 0.501, 0.645], [0.153, 0.999, 0.145], [0.809, 0.250, 0.611], [0.691, 0.250, 0.111], [0.191, 0.750, 0.389], [0.309, 0.750, 0.889], [0.041, 0.168, 0.471], [0.459, 0.332, 0.971], [0.959, 0.668, 0.529], [0.541, 0.832, 0.029], [0.959, 0.832, 0.529], [0.541, 0.668, 0.029], [0.041, 0.332, 0.471], [0.459, 0.168, 0.971], [0.063, 0.250, 0.715], [0.437, 0.250, 0.215], [0.937, 0.750, 0.285], [0.563, 0.750, 0.785], [0.548, 0.250, 0.509], [0.952, 0.250, 0.009], [0.452, 0.750, 0.491], [0.048, 0.750, 0.991], [0.610, 0.250, 0.742], [0.890, 0.250, 0.242], [0.390, 0.750, 0.258], [0.110, 0.750, 0.758], [0.819, 0.007, 0.604], [0.681, 0.493, 0.104], [0.181, 0.507, 0.396], [0.319, 0.993, 0.896], [0.181, 0.993, 0.396], [0.319, 0.507, 0.896], [0.819, 0.493, 0.604], [0.681, 0.007, 0.104], [0.978, 0.250, 0.494], [0.522, 0.250, 0.994], [0.022, 0.750, 0.506], [0.478, 0.750, 0.006]], "ef_mev_per_atom": -1512, "total_energy_ev_per_atom": -4.23, "vol_a3_per_cell": 1026.6}